Here is a relaxed Li4MnGe2S7 crystal from the Materials Project. Energies are from GGA-PBE.

a b c (Å): 9.1748 9.1748 10.2030
angles (deg): 94.21 94.21 43.15
Last column: nearest neighbours and their distance in Å.
Atoms (fractional coordinates):
Li (0.1120, 0.4422, 0.4264)  4 S 2.41-2.53
Li (0.1423, 0.8577, 0.5000)  4 S 2.46-2.53
Li (0.3945, 0.7427, 0.8426)  4 S 2.40-2.47
Li (0.4422, 0.1120, 0.9264)  4 S 2.41-2.53
Li (0.5245, 0.8917, 0.5619)  4 S 2.40-2.54
Li (0.7427, 0.3945, 0.3426)  4 S 2.40-2.47
Li (0.8577, 0.1423, 0.0000)  4 S 2.46-2.53
Li (0.8917, 0.5245, 0.0619)  4 S 2.40-2.54
Mn (0.2510, 0.6019, 0.1487)  4 S 2.38-2.43
Mn (0.6019, 0.2510, 0.6487)  4 S 2.38-2.43
Ge (0.0250, 0.6769, 0.7866)  4 S 2.23-2.31
Ge (0.3066, 0.9668, 0.2235)  4 S 2.19-2.34
Ge (0.6769, 0.0250, 0.2866)  4 S 2.23-2.31
Ge (0.9668, 0.3066, 0.7235)  4 S 2.19-2.34
S (0.0242, 0.7436, 0.3334)  1 Ge 2.24, 1 Mn 2.42, 1 Li 2.49
S (0.0316, 0.3137, 0.2544)  1 Ge 2.20, 3 Li 2.40-2.41
S (0.1493, 0.4968, 0.9712)  1 Ge 2.23, 1 Mn 2.43, 2 Li 2.43-2.45
S (0.2381, 0.8440, 0.0593)  1 Ge 2.25, 1 Mn 2.38, 2 Li 2.46
S (0.2743, 0.6216, 0.6913)  1 Ge 2.24, 1 Mn 2.42, 1 Li 2.47
S (0.3137, 0.0316, 0.7544)  1 Ge 2.20, 3 Li 2.40-2.41
S (0.4341, 0.7685, 0.3951)  1 Ge 2.19, 2 Li 2.40-2.42
S (0.4968, 0.1493, 0.4712)  1 Ge 2.23, 1 Mn 2.43, 2 Li 2.43-2.45
S (0.5748, 0.9098, 0.1364)  2 Ge 2.31-2.34, 2 Li 2.53-2.54
S (0.6216, 0.2743, 0.1913)  1 Ge 2.24, 1 Mn 2.42, 1 Li 2.47
S (0.7436, 0.0242, 0.8334)  1 Ge 2.24, 1 Mn 2.42, 1 Li 2.49
S (0.7685, 0.4341, 0.8951)  1 Ge 2.19, 2 Li 2.40-2.42
S (0.8440, 0.2381, 0.5593)  1 Ge 2.25, 1 Mn 2.38, 2 Li 2.46
S (0.9098, 0.5748, 0.6364)  2 Ge 2.31-2.34, 2 Li 2.53-2.54

Calculated values
Symmetry: Cc
Total magnetic moment (μB/atom): 0.3572
Formation enthalpy at 0 K (eV per formula unit): -15.614

Here is a relaxed Li2GeN2 crystal from the Materials Project. Energies are from GGA-PBE.

a b c (Å): 5.6054 6.6841 5.5493
angles (deg): 90.00 92.34 90.00
Last column: nearest neighbours and their distance in Å.
Atoms (fractional coordinates):
Li (0.0540, 0.1633, 0.2266)  5 N 2.24-2.41, 2 Li 2.37-2.39
Li (0.0540, 0.3367, 0.7266)  5 N 2.24-2.41, 2 Li 2.37-2.39
Li (0.3166, 0.0972, 0.9069)  3 N 1.99-2.05
Li (0.3166, 0.4028, 0.4069)  3 N 1.99-2.05
Li (0.6834, 0.5972, 0.5931)  3 N 1.99-2.05
Li (0.6834, 0.9028, 0.0931)  3 N 1.99-2.05
Li (0.9460, 0.6633, 0.2734)  5 N 2.24-2.41, 2 Li 2.37-2.39
Li (0.9460, 0.8367, 0.7734)  5 N 2.24-2.41, 2 Li 2.37-2.39
Ge (0.3499, 0.6377, 0.9255)  4 N 1.88-1.95
Ge (0.3499, 0.8623, 0.4255)  4 N 1.88-1.95
Ge (0.6501, 0.1377, 0.5745)  4 N 1.88-1.95
Ge (0.6501, 0.3623, 0.0745)  4 N 1.88-1.95
N (0.2286, 0.6488, 0.6036)  2 Ge 1.88-1.89, 1 Li 2.05
N (0.2286, 0.8512, 0.1036)  2 Ge 1.88-1.89, 1 Li 2.05
N (0.3031, 0.1224, 0.5495)  2 Ge 1.89-1.95, 2 Li 1.99-2.04
N (0.3031, 0.3776, 0.0495)  2 Ge 1.89-1.95, 2 Li 1.99-2.04
N (0.6969, 0.6224, 0.9505)  2 Ge 1.89-1.95, 2 Li 1.99-2.04
N (0.6969, 0.8776, 0.4505)  2 Ge 1.89-1.95, 2 Li 1.99-2.04
N (0.7714, 0.1488, 0.8964)  2 Ge 1.88-1.89, 1 Li 2.05
N (0.7714, 0.3512, 0.3964)  2 Ge 1.88-1.89, 1 Li 2.05

Calculated values
Symmetry: P2_1/c
Total magnetic moment (μB/atom): 0.0000
Formation enthalpy at 0 K (eV per formula unit): -2.845

Here is a relaxed LiNbGeO5 crystal from the Materials Project. Energies are from GGA-PBE.

a b c (Å): 7.9191 6.7911 7.6383
angles (deg): 90.00 90.00 90.00
Last column: nearest neighbours and their distance in Å.
Atoms (fractional coordinates):
Li (0.0000, 0.0000, 0.0000)  6 O 2.06-2.28
Li (0.0000, 0.5000, 0.0000)  6 O 2.06-2.28
Li (0.5000, 0.0000, 0.5000)  6 O 2.06-2.28
Li (0.5000, 0.5000, 0.5000)  6 O 2.06-2.28
Nb (0.1634, 0.2500, 0.2743)  4 O 1.83-2.02
Nb (0.3366, 0.7500, 0.7743)  4 O 1.83-2.02
Nb (0.6634, 0.2500, 0.2257)  4 O 1.83-2.02
Nb (0.8366, 0.7500, 0.7257)  4 O 1.83-2.02
Ge (0.1308, 0.7500, 0.3694)  4 O 1.76-1.78
Ge (0.3692, 0.2500, 0.8694)  4 O 1.76-1.78
Ge (0.6308, 0.7500, 0.1306)  4 O 1.76-1.78
Ge (0.8692, 0.2500, 0.6306)  4 O 1.76-1.78
O (0.0550, 0.2500, 0.5002)  1 Ge 1.78, 1 Nb 1.93
O (0.1150, 0.7500, 0.8401)  1 Nb 1.83
O (0.1245, 0.5408, 0.2338)  1 Ge 1.76
O (0.1245, 0.9592, 0.2338)  1 Ge 1.76
O (0.1857, 0.2500, 0.0017)  1 Ge 1.77
O (0.3143, 0.7500, 0.5017)  1 Ge 1.77
O (0.3755, 0.0408, 0.7338)  1 Ge 1.76
O (0.3755, 0.4592, 0.7338)  1 Ge 1.76
O (0.3850, 0.2500, 0.3401)  1 Nb 1.83
O (0.4450, 0.7500, 0.0002)  1 Ge 1.78, 1 Nb 1.93
O (0.5550, 0.2500, 0.9998)  1 Ge 1.78, 1 Nb 1.93
O (0.6150, 0.7500, 0.6599)  1 Nb 1.83
O (0.6245, 0.5408, 0.2662)  1 Ge 1.76
O (0.6245, 0.9592, 0.2662)  1 Ge 1.76
O (0.6857, 0.2500, 0.4983)  1 Ge 1.77
O (0.8143, 0.7500, 0.9983)  1 Ge 1.77
O (0.8755, 0.0408, 0.7662)  1 Ge 1.76
O (0.8755, 0.4592, 0.7662)  1 Ge 1.76
O (0.8850, 0.2500, 0.1599)  1 Nb 1.83
O (0.9450, 0.7500, 0.4998)  1 Ge 1.78, 1 Nb 1.93

Calculated values
Symmetry: Pnma
Formation enthalpy at 0 K (eV per formula unit): -20.917

Here is a relaxed LiNdGe2 crystal from the Materials Project. Energies are from GGA-PBE.

a b c (Å): 7.8155 3.9916 10.6722
angles (deg): 90.00 90.00 90.00
Last column: nearest neighbours and their distance in Å.
Atoms (fractional coordinates):
Li (0.0095, 0.2500, 0.1094)  5 Ge 2.55-2.74
Li (0.4905, 0.7500, 0.6094)  5 Ge 2.55-2.74
Li (0.5095, 0.2500, 0.3906)  5 Ge 2.55-2.74
Li (0.9905, 0.7500, 0.8906)  5 Ge 2.55-2.74
Nd (0.1400, 0.7500, 0.3647)  9 Ge 3.09-3.41
Nd (0.3600, 0.2500, 0.8647)  9 Ge 3.09-3.41
Nd (0.6400, 0.7500, 0.1353)  9 Ge 3.09-3.41
Nd (0.8600, 0.2500, 0.6353)  9 Ge 3.09-3.41
Ge (0.1552, 0.7500, 0.6840)  2 Ge 2.54, 2 Li 2.55-2.74
Ge (0.2229, 0.7500, 0.0671)  2 Ge 2.54, 3 Li 2.62-2.64
Ge (0.2771, 0.2500, 0.5671)  2 Ge 2.54, 3 Li 2.62-2.64
Ge (0.3448, 0.2500, 0.1840)  2 Ge 2.54, 2 Li 2.55-2.74
Ge (0.6552, 0.7500, 0.8160)  2 Ge 2.54, 2 Li 2.55-2.74
Ge (0.7229, 0.7500, 0.4329)  2 Ge 2.54, 3 Li 2.62-2.64
Ge (0.7771, 0.2500, 0.9329)  2 Ge 2.54, 3 Li 2.62-2.64
Ge (0.8448, 0.2500, 0.3160)  2 Ge 2.54, 2 Li 2.55-2.74

Calculated values
Symmetry: Pnma
Formation enthalpy at 0 K (eV per formula unit): -2.661

Here is a relaxed Li4Nd3Ge4 crystal from the Materials Project. Energies are from GGA-PBE.

a b c (Å): 8.4370 8.4370 8.4370
angles (deg): 149.48 132.07 57.90
Last column: nearest neighbours and their distance in Å.
Atoms (fractional coordinates):
Li (0.0202, 0.8285, 0.1918)  1 Li 2.63, 4 Ge 2.65-2.71
Li (0.3633, 0.1715, 0.1918)  1 Li 2.63, 4 Ge 2.65-2.71
Li (0.6367, 0.8285, 0.8082)  1 Li 2.63, 4 Ge 2.65-2.71
Li (0.9798, 0.1715, 0.8082)  1 Li 2.63, 4 Ge 2.65-2.71
Nd (0.0000, 0.5000, 0.5000)  6 Ge 3.10-3.15
Nd (0.3692, 0.3692, 0.0000)  6 Li 3.12-3.20, 6 Ge 3.20-3.21
Nd (0.6308, 0.6308, 0.0000)  6 Li 3.12-3.20, 6 Ge 3.20-3.21
Ge (0.2130, 0.7130, 0.5000)  6 Li 2.65-2.71
Ge (0.3147, 0.0000, 0.3147)  1 Ge 2.54, 2 Li 2.67
Ge (0.6853, 0.0000, 0.6853)  1 Ge 2.54, 2 Li 2.67
Ge (0.7870, 0.2870, 0.5000)  6 Li 2.65-2.71

Calculated values
Symmetry: Immm
Total magnetic moment (μB/atom): 0.0003
Formation enthalpy at 0 K (eV per formula unit): -7.348

Repeat the third record exactly.
Here is a relaxed LiNbGeO5 crystal from the Materials Project. Energies are from GGA-PBE.

a b c (Å): 7.9191 6.7911 7.6383
angles (deg): 90.00 90.00 90.00
Last column: nearest neighbours and their distance in Å.
Atoms (fractional coordinates):
Li (0.0000, 0.0000, 0.0000)  6 O 2.06-2.28
Li (0.0000, 0.5000, 0.0000)  6 O 2.06-2.28
Li (0.5000, 0.0000, 0.5000)  6 O 2.06-2.28
Li (0.5000, 0.5000, 0.5000)  6 O 2.06-2.28
Nb (0.1634, 0.2500, 0.2743)  4 O 1.83-2.02
Nb (0.3366, 0.7500, 0.7743)  4 O 1.83-2.02
Nb (0.6634, 0.2500, 0.2257)  4 O 1.83-2.02
Nb (0.8366, 0.7500, 0.7257)  4 O 1.83-2.02
Ge (0.1308, 0.7500, 0.3694)  4 O 1.76-1.78
Ge (0.3692, 0.2500, 0.8694)  4 O 1.76-1.78
Ge (0.6308, 0.7500, 0.1306)  4 O 1.76-1.78
Ge (0.8692, 0.2500, 0.6306)  4 O 1.76-1.78
O (0.0550, 0.2500, 0.5002)  1 Ge 1.78, 1 Nb 1.93
O (0.1150, 0.7500, 0.8401)  1 Nb 1.83
O (0.1245, 0.5408, 0.2338)  1 Ge 1.76
O (0.1245, 0.9592, 0.2338)  1 Ge 1.76
O (0.1857, 0.2500, 0.0017)  1 Ge 1.77
O (0.3143, 0.7500, 0.5017)  1 Ge 1.77
O (0.3755, 0.0408, 0.7338)  1 Ge 1.76
O (0.3755, 0.4592, 0.7338)  1 Ge 1.76
O (0.3850, 0.2500, 0.3401)  1 Nb 1.83
O (0.4450, 0.7500, 0.0002)  1 Ge 1.78, 1 Nb 1.93
O (0.5550, 0.2500, 0.9998)  1 Ge 1.78, 1 Nb 1.93
O (0.6150, 0.7500, 0.6599)  1 Nb 1.83
O (0.6245, 0.5408, 0.2662)  1 Ge 1.76
O (0.6245, 0.9592, 0.2662)  1 Ge 1.76
O (0.6857, 0.2500, 0.4983)  1 Ge 1.77
O (0.8143, 0.7500, 0.9983)  1 Ge 1.77
O (0.8755, 0.0408, 0.7662)  1 Ge 1.76
O (0.8755, 0.4592, 0.7662)  1 Ge 1.76
O (0.8850, 0.2500, 0.1599)  1 Nb 1.83
O (0.9450, 0.7500, 0.4998)  1 Ge 1.78, 1 Nb 1.93

Calculated values
Symmetry: Pnma
Formation enthalpy at 0 K (eV per formula unit): -20.917